(1)
K3MnO4 after structural relaxation, computed with PBE with a Hubbard U.

Formation enthalpy at 0 K (meV/atom): -1773
Volume (Å³/f.u.): 154.0
Piezoelectric modulus e_max (C/m²): 2.17

Cell lengths 6.589, 11.005, 9.684 Å; angles 67.99, 90.00, 107.42 degrees
Positions (direct):
K (0.875, 0.750, 0.375)
K (0.375, 0.750, 0.875)
K (0.625, 0.250, 0.125)
K (0.125, 0.250, 0.625)
K (0.688, 0.375, 0.438)
K (0.188, 0.375, 0.938)
K (0.438, 0.875, 0.188)
K (0.938, 0.875, 0.688)
K (0.312, 0.625, 0.562)
K (0.812, 0.625, 0.062)
K (0.062, 0.125, 0.312)
K (0.562, 0.125, 0.812)
Mn (0.250, 0.500, 0.250)
Mn (0.500, 0.000, 0.500)
Mn (0.750, 0.500, 0.750)
Mn (0.000, 0.000, 0.000)
O (0.171, 0.646, 0.183)
O (0.671, 0.646, 0.683)
O (0.921, 0.146, 0.933)
O (0.421, 0.146, 0.433)
O (0.275, 0.854, 0.567)
O (0.775, 0.854, 0.067)
O (0.025, 0.354, 0.317)
O (0.525, 0.354, 0.817)
O (0.655, 0.006, 0.643)
O (0.155, 0.006, 0.143)
O (0.405, 0.506, 0.393)
O (0.905, 0.506, 0.893)
O (0.899, 0.494, 0.607)
O (0.399, 0.494, 0.107)
O (0.649, 0.994, 0.357)
O (0.149, 0.994, 0.857)

(2)
KMn2O4 after structural relaxation, computed with PBE with a Hubbard U.

Formation enthalpy at 0 K (meV/atom): -1798
Volume (Å³/f.u.): 86.8
M_tot (μB per formula unit): 1.0

Cell lengths 10.840, 10.840, 5.906 Å; angles 90.00, 90.00, 90.00 degrees
Positions (direct):
K (0.126, 0.725, 0.139)
K (0.225, 0.874, 0.639)
K (0.275, 0.626, 0.639)
K (0.374, 0.775, 0.139)
K (0.626, 0.225, 0.861)
K (0.725, 0.374, 0.361)
K (0.775, 0.126, 0.361)
K (0.874, 0.275, 0.861)
Mn (0.085, 0.102, 0.372)
Mn (0.091, 0.101, 0.878)
Mn (0.101, 0.409, 0.622)
Mn (0.102, 0.415, 0.128)
Mn (0.398, 0.085, 0.128)
Mn (0.399, 0.091, 0.622)
Mn (0.409, 0.399, 0.878)
Mn (0.415, 0.398, 0.372)
Mn (0.585, 0.602, 0.628)
Mn (0.591, 0.601, 0.122)
Mn (0.601, 0.909, 0.378)
Mn (0.602, 0.915, 0.872)
Mn (0.898, 0.585, 0.872)
Mn (0.899, 0.591, 0.378)
Mn (0.909, 0.899, 0.122)
Mn (0.915, 0.898, 0.628)
O (0.031, 0.898, 0.879)
O (0.039, 0.911, 0.378)
O (0.079, 0.289, 0.370)
O (0.089, 0.539, 0.878)
O (0.096, 0.299, 0.878)
O (0.102, 0.531, 0.379)
O (0.201, 0.096, 0.622)
O (0.211, 0.079, 0.130)
O (0.289, 0.421, 0.130)
O (0.299, 0.404, 0.622)
O (0.398, 0.969, 0.379)
O (0.404, 0.201, 0.878)
O (0.411, 0.961, 0.878)
O (0.421, 0.211, 0.370)
O (0.461, 0.589, 0.378)
O (0.469, 0.602, 0.879)
O (0.531, 0.398, 0.121)
O (0.539, 0.411, 0.622)
O (0.579, 0.789, 0.630)
O (0.589, 0.039, 0.122)
O (0.596, 0.799, 0.122)
O (0.602, 0.031, 0.621)
O (0.701, 0.596, 0.378)
O (0.711, 0.579, 0.870)
O (0.789, 0.921, 0.870)
O (0.799, 0.904, 0.378)
O (0.898, 0.469, 0.621)
O (0.904, 0.701, 0.122)
O (0.911, 0.461, 0.122)
O (0.921, 0.711, 0.630)
O (0.961, 0.089, 0.622)
O (0.969, 0.102, 0.121)

(3)
KMn16O32 after structural relaxation, computed with PBE with a Hubbard U.

Formation enthalpy at 0 K (meV/atom): -1853
Volume (Å³/f.u.): 578.8
M_tot (μB per formula unit): 49.0

Cell lengths 9.894, 5.884, 9.944 Å; angles 90.00, 90.16, 90.00 degrees
Positions (direct):
K (0.000, 0.000, 0.000)
Mn (0.151, 0.500, 0.331)
Mn (0.153, 0.000, 0.333)
Mn (0.169, 0.250, 0.648)
Mn (0.169, 0.750, 0.648)
Mn (0.333, 0.500, 0.848)
Mn (0.335, 0.000, 0.847)
Mn (0.349, 0.250, 0.165)
Mn (0.349, 0.750, 0.165)
Mn (0.652, 0.250, 0.831)
Mn (0.652, 0.750, 0.831)
Mn (0.666, 0.000, 0.150)
Mn (0.668, 0.500, 0.148)
Mn (0.832, 0.250, 0.348)
Mn (0.832, 0.750, 0.348)
Mn (0.848, 0.000, 0.663)
Mn (0.850, 0.500, 0.665)
O (0.044, 0.000, 0.663)
O (0.044, 0.500, 0.662)
O (0.154, 0.248, 0.202)
O (0.154, 0.752, 0.202)
O (0.166, 0.251, 0.456)
O (0.166, 0.749, 0.456)
O (0.202, 0.248, 0.843)
O (0.202, 0.752, 0.843)
O (0.298, 0.000, 0.654)
O (0.298, 0.500, 0.655)
O (0.332, 0.000, 0.041)
O (0.333, 0.500, 0.041)
O (0.345, 0.500, 0.294)
O (0.346, 0.000, 0.295)
O (0.458, 0.251, 0.836)
O (0.458, 0.749, 0.836)
O (0.543, 0.251, 0.160)
O (0.543, 0.749, 0.160)
O (0.655, 0.000, 0.702)
O (0.656, 0.500, 0.702)
O (0.667, 0.500, 0.955)
O (0.669, 0.000, 0.955)
O (0.702, 0.000, 0.343)
O (0.703, 0.500, 0.341)
O (0.798, 0.248, 0.153)
O (0.798, 0.752, 0.153)
O (0.835, 0.251, 0.541)
O (0.835, 0.749, 0.541)
O (0.847, 0.248, 0.795)
O (0.847, 0.752, 0.795)
O (0.957, 0.000, 0.333)
O (0.957, 0.500, 0.335)

(4)
KMn2O4 after structural relaxation, computed with PBE with a Hubbard U.

Formation enthalpy at 0 K (meV/atom): -1968
Volume (Å³/f.u.): 99.7

Cell lengths 3.052, 5.162, 6.573 Å; angles 105.17, 91.28, 93.30 degrees
Positions (direct):
K (0.000, 0.000, 0.000)
Mn (0.000, 0.500, 0.500)
Mn (0.500, 0.000, 0.500)
O (0.024, 0.209, 0.655)
O (0.466, 0.739, 0.664)
O (0.534, 0.261, 0.336)
O (0.976, 0.791, 0.345)